(1)
Material: MgZnBr4O7
Method: DFT, PBE-GGA
State: optimized geometry

Cell lengths 7.373, 12.794, 11.071 Å; angles 90.00, 110.36, 90.00 degrees
Sites, in units of the cell vectors:
Mg 0.000 0.000 0.000
Mg 0.000 0.000 0.500
Mg 0.000 0.500 0.000
Mg 0.000 0.500 0.500
Zn 0.289 0.214 0.349
Zn 0.289 0.286 0.849
Zn 0.711 0.714 0.151
Zn 0.711 0.786 0.651
Br 0.008 0.175 0.733
Br 0.008 0.325 0.233
Br 0.329 0.511 0.820
Br 0.329 0.989 0.320
Br 0.353 0.192 0.120
Br 0.353 0.308 0.620
Br 0.401 0.660 0.549
Br 0.401 0.840 0.049
Br 0.599 0.160 0.951
Br 0.599 0.340 0.451
Br 0.647 0.692 0.380
Br 0.647 0.808 0.880
Br 0.671 0.011 0.680
Br 0.671 0.489 0.180
Br 0.992 0.675 0.767
Br 0.992 0.825 0.267
O 0.000 0.143 0.576
O 0.000 0.357 0.076
O 0.000 0.643 0.924
O 0.000 0.857 0.424
O 0.039 0.568 0.331
O 0.039 0.932 0.831
O 0.139 0.141 0.997
O 0.139 0.359 0.497
O 0.179 0.522 0.295
O 0.179 0.978 0.795
O 0.181 0.553 0.181
O 0.181 0.947 0.681
O 0.247 0.596 0.629
O 0.247 0.904 0.129
O 0.289 0.085 0.438
O 0.289 0.415 0.938
O 0.711 0.585 0.062
O 0.711 0.915 0.562
O 0.753 0.096 0.871
O 0.753 0.404 0.371
O 0.819 0.053 0.319
O 0.819 0.447 0.819
O 0.821 0.022 0.205
O 0.821 0.478 0.705
O 0.861 0.641 0.503
O 0.861 0.859 0.003
O 0.961 0.068 0.169
O 0.961 0.432 0.669

## Properties
- uncorrected energy (eV per cell) = -189.03
- M_tot (Bohr magnetons per cell) = 0.21
- energy of formation (eV/atom) = -0.25
- distance to the lowest polymorph of the same formula (kJ per mole of atoms) = 1.6
- SG = P2_1/c (14)

***

(2)
Material: Mn3Br
Method: DFT, PBE-GGA
State: optimized geometry

Cell lengths 5.213, 5.213, 5.213 Å; angles 135.59, 135.59, 64.61 degrees
Sites, in units of the cell vectors:
Mn 0.000 0.000 0.000
Mn 0.250 0.750 0.500
Mn 0.750 0.250 0.500
Br 0.500 0.500 0.000

## Properties
- uncorrected energy (eV per cell) = -26.39
- energy of formation (eV/atom) = 0.55
- MP2020-corrected energy (eV per atom) = -6.73
- SG = I4/mmm (139)